# 1
Material: Nd2AgIr
Method: DFT, PBE
State: relaxed

Unit cell a=5.145 b=5.145 c=5.145 alpha=60.00 beta=60.00 gamma=60.00
Positions (direct):
1 Nd 0.750 0.750 0.750
2 Nd 0.250 0.250 0.250
3 Ag 0.000 0.000 0.000
4 Ir 0.500 0.500 0.500

Output
Size of the total moment in μB per cell: 0.0
Volume in Å³/atom: 24.1
Formation energy from the elements in eV/atom: -0.454

=====

# 2
Material: Ag3IrO4
Method: DFT, PBE
State: relaxed

Unit cell a=7.422 b=7.422 c=8.269 alpha=90.00 beta=90.00 gamma=90.00
Positions (direct):
1 Ag 0.000 0.179 0.000
2 Ag 0.000 0.756 0.000
3 Ag 0.000 0.244 0.500
4 Ag 0.000 0.821 0.500
5 Ag 0.200 0.500 0.250
6 Ag 0.179 0.000 0.750
7 Ag 0.244 0.000 0.250
8 Ag 0.500 0.200 0.500
9 Ag 0.500 0.800 0.000
10 Ag 0.756 0.000 0.750
11 Ag 0.821 0.000 0.250
12 Ag 0.800 0.500 0.750
13 Ir 0.279 0.500 0.750
14 Ir 0.500 0.279 0.000
15 Ir 0.500 0.721 0.500
16 Ir 0.721 0.500 0.250
17 O 0.089 0.317 0.742
18 O 0.089 0.683 0.758
19 O 0.312 0.474 0.987
20 O 0.312 0.526 0.513
21 O 0.317 0.089 0.008
22 O 0.317 0.911 0.492
23 O 0.474 0.312 0.763
24 O 0.474 0.688 0.737
25 O 0.526 0.312 0.237
26 O 0.526 0.688 0.263
27 O 0.683 0.911 0.508
28 O 0.683 0.089 0.992
29 O 0.688 0.474 0.013
30 O 0.688 0.526 0.487
31 O 0.911 0.317 0.258
32 O 0.911 0.683 0.242

Output
Size of the total moment in μB per cell: 3.6
Volume in Å³/atom: 14.2
Formation energy from the elements in eV/atom: -0.635

=====

# 3
Material: Pm2AgIr
Method: DFT, PBE
State: relaxed

Unit cell a=5.109 b=5.109 c=5.109 alpha=60.00 beta=60.00 gamma=60.00
Positions (direct):
1 Pm 0.250 0.250 0.250
2 Pm 0.750 0.750 0.750
3 Ag 0.000 0.000 0.000
4 Ir 0.500 0.500 0.500

Output
Volume in Å³/atom: 23.6
Formation energy from the elements in eV/atom: -0.488

=====

# 4
Material: Sc2AgIr
Method: DFT, PBE
State: relaxed

Unit cell a=4.699 b=4.699 c=4.699 alpha=60.00 beta=60.00 gamma=60.00
Positions (direct):
1 Sc 0.750 0.750 0.750
2 Sc 0.250 0.250 0.250
3 Ag 0.500 0.500 0.500
4 Ir 0.000 0.000 0.000

Output
Volume in Å³/atom: 18.3
Formation energy from the elements in eV/atom: -0.670

=====

# 5
Material: Sm2AgIr
Method: DFT, PBE
State: relaxed

Unit cell a=5.084 b=5.084 c=5.084 alpha=60.00 beta=60.00 gamma=60.00
Positions (direct):
1 Sm 0.250 0.250 0.250
2 Sm 0.750 0.750 0.750
3 Ag 0.500 0.500 0.500
4 Ir 0.000 0.000 0.000

Output
Size of the total moment in μB per cell: 0.0
Volume in Å³/atom: 23.2
Formation energy from the elements in eV/atom: -0.511

=====

# 6
Material: Tm2AgIr
Method: DFT, PBE
State: relaxed

Unit cell a=4.909 b=4.909 c=4.909 alpha=60.00 beta=60.00 gamma=60.00
Positions (direct):
1 Tm 0.750 0.750 0.750
2 Tm 0.250 0.250 0.250
3 Ag 0.000 0.000 0.000
4 Ir 0.500 0.500 0.500

Output
Volume in Å³/atom: 20.9
Formation energy from the elements in eV/atom: -0.670

=====

# 7
Material: K3Ag
Method: DFT, PBE
State: relaxed

Unit cell a=5.778 b=5.778 c=5.778 alpha=90.00 beta=90.00 gamma=90.00
Positions (direct):
1 K 0.500 0.000 0.000
2 K 0.000 0.500 0.000
3 K 0.000 0.000 0.500
4 Ag 0.500 0.500 0.500

Output
Size of the total moment in μB per cell: 0.0
Volume in Å³/atom: 48.2
Formation energy from the elements in eV/atom: 0.109

=====

# 8
Material: KAg2
Method: DFT, PBE
State: relaxed

Unit cell a=5.912 b=5.912 c=10.066 alpha=90.00 beta=90.00 gamma=120.00
Positions (direct):
1 K 0.333 0.667 0.061
2 K 0.667 0.333 0.561
3 K 0.667 0.333 0.939
4 K 0.333 0.667 0.439
5 Ag 0.000 0.000 0.000
6 Ag 0.000 0.000 0.500
7 Ag 0.835 0.670 0.250
8 Ag 0.165 0.835 0.750
9 Ag 0.670 0.835 0.750
10 Ag 0.330 0.165 0.250
11 Ag 0.835 0.165 0.250
12 Ag 0.165 0.330 0.750

Output
Volume in Å³/atom: 25.4
Formation energy from the elements in eV/atom: -0.015

=====

# 9
Material: K2Ag
Method: DFT, PBE
State: relaxed

Unit cell a=5.993 b=5.993 c=3.916 alpha=90.00 beta=90.00 gamma=120.00
Positions (direct):
1 K 0.333 0.667 0.500
2 K 0.667 0.333 0.500
3 Ag 0.000 0.000 0.000

Output
Size of the total moment in μB per cell: 0.0
Volume in Å³/atom: 40.6
Formation energy from the elements in eV/atom: 0.178

=====

# 10
Material: KLa2Ag3Te8
Method: DFT, PBE
State: relaxed

Unit cell a=4.452 b=4.452 c=21.714 alpha=90.00 beta=90.00 gamma=90.00
Positions (direct):
1 K 0.000 0.000 0.741
2 La 0.000 0.000 0.200
3 La 0.500 0.500 0.002
4 Ag 0.000 0.500 0.579
5 Ag 0.500 0.000 0.579
6 Ag 0.500 0.500 0.487
7 Te 0.500 0.500 0.663
8 Te 0.500 0.000 0.320
9 Te 0.500 0.000 0.883
10 Te 0.000 0.500 0.320
11 Te 0.000 0.000 0.044
12 Te 0.500 0.500 0.157
13 Te 0.000 0.500 0.883
14 Te 0.000 0.000 0.484

Output
Size of the total moment in μB per cell: 0.0
Volume in Å³/atom: 30.7
Formation energy from the elements in eV/atom: -1.003

=====

# 11
Material: K4MgNb2Ag2S8
Method: DFT, PBE
State: relaxed

Unit cell a=5.937 b=7.404 c=12.843 alpha=86.51 beta=81.22 gamma=66.33
Positions (direct):
1 K 0.332 0.282 0.557
2 K 0.804 0.748 0.390
3 K 0.386 0.282 0.942
4 K 0.449 0.746 0.109
5 Mg 0.898 0.205 0.750
6 Nb 0.364 0.273 0.250
7 Nb 0.624 0.751 0.750
8 Ag 0.874 0.252 0.250
9 Ag 0.154 0.690 0.750
10 S 0.896 0.498 0.849
11 S 0.802 0.946 0.648
12 S 0.605 0.498 0.651
13 S 0.250 0.946 0.852
14 S 0.066 0.483 0.151
15 S 0.708 0.070 0.138
16 S 0.450 0.483 0.349
17 S 0.223 0.070 0.362

Output
Size of the total moment in μB per cell: 0.1
Volume in Å³/atom: 30.1
Formation energy from the elements in eV/atom: -1.100

=====

# 12
Material: K4MgNb2Ag2S8
Method: DFT, PBE
State: relaxed

Unit cell a=6.031 b=7.591 c=12.015 alpha=83.53 beta=75.47 gamma=63.31
Positions (direct):
1 K 0.179 0.250 0.642
2 K 0.806 0.750 0.389
3 K 0.553 0.250 0.892
4 K 0.449 0.749 0.103
5 Mg 0.751 0.250 0.498
6 Nb 0.376 0.250 0.248
7 Nb 0.626 0.750 0.747
8 Ag 0.890 0.250 0.220
9 Ag 0.123 0.750 0.752
10 S 0.899 0.541 0.861
11 S 0.780 0.963 0.626
12 S 0.594 0.537 0.626
13 S 0.240 0.958 0.862
14 S 0.107 0.468 0.136
15 S 0.757 0.032 0.136
16 S 0.441 0.430 0.378
17 S 0.180 0.070 0.378

Output
Size of the total moment in μB per cell: 0.3
Volume in Å³/atom: 28.0
Formation energy from the elements in eV/atom: -1.126